# r²SCAN U2Mn3Si, relaxed
data_U2Mn3Si
_chemical_formula_sum 'U4 Mn6 Si2'
_cell_length_a 5.2304
_cell_length_b 5.2304
_cell_length_c 7.9182
_cell_angle_alpha 90.00
_cell_angle_beta 90.00
_cell_angle_gamma 120.00
_space_group_name_H-M_alt 'P 63/m m c'
_space_group_IT_number 194
_space_group_name_Hall '-P 6c 2c'
loop_
_atom_site_label
_atom_site_type_symbol
_atom_site_fract_x
_atom_site_fract_y
_atom_site_fract_z
U1 U 0.3333 0.6667 0.0729
Mn1 Mn 0.1675 0.3350 0.7500
Si1 Si 0.0000 0.0000 0.0000
# Formation enthalpy at 0 K in eV per atom: -0.319
# Magnetic moment in μB per cell: 4.88